[1]
## DyNbRu2 (PBE)

Data for crystalline DyNbRu2 at its relaxed geometry.

Cell lengths 6.564, 6.564, 6.564 Å; angles 90.00, 90.00, 90.00 degrees
Positions (direct):
Dy  0.000  0.000  0.000
Dy  0.000  0.500  0.500
Dy  0.500  0.000  0.500
Dy  0.500  0.500  0.000
Nb  0.000  0.000  0.500
Nb  0.000  0.500  0.000
Nb  0.500  0.000  0.000
Nb  0.500  0.500  0.500
Ru  0.250  0.250  0.250
Ru  0.250  0.250  0.750
Ru  0.250  0.750  0.250
Ru  0.250  0.750  0.750
Ru  0.750  0.250  0.250
Ru  0.750  0.250  0.750
Ru  0.750  0.750  0.250
Ru  0.750  0.750  0.750

Computed properties:
- symmetry = Fm-3m (225)

[2]
## NdDyZn2 (PBE)

Data for crystalline NdDyZn2 at its relaxed geometry.

Cell lengths 7.250, 7.250, 7.250 Å; angles 90.00, 90.00, 90.00 degrees
Positions (direct):
Nd  0.000  0.000  0.000
Nd  0.000  0.500  0.500
Nd  0.500  0.000  0.500
Nd  0.500  0.500  0.000
Dy  0.000  0.000  0.500
Dy  0.000  0.500  0.000
Dy  0.500  0.000  0.000
Dy  0.500  0.500  0.500
Zn  0.250  0.250  0.250
Zn  0.250  0.250  0.750
Zn  0.250  0.750  0.250
Zn  0.250  0.750  0.750
Zn  0.750  0.250  0.250
Zn  0.750  0.250  0.750
Zn  0.750  0.750  0.250
Zn  0.750  0.750  0.750

Computed properties:
- symmetry = Fm-3m (225)

[3]
## DyNi2 (PBE)

Data for crystalline DyNi2 at its relaxed geometry.

Cell lengths 5.070, 5.070, 5.070 Å; angles 60.00, 60.00, 60.00 degrees
Positions (direct):
Dy  0.125  0.125  0.125
Dy  0.875  0.875  0.875
Ni  0.000  0.500  0.500
Ni  0.500  0.000  0.500
Ni  0.500  0.500  0.000
Ni  0.500  0.500  0.500

Computed properties:
- symmetry = Fd-3m (227)

For each record above, in turn, the calculated ΔE_f values are -0.29 -0.32 -0.45 eV/atom.